(1)
## Al3Ni20B6 (r²SCAN)

Data for an optimized crystal structure of Al3Ni20B6. Values from VASP.

Structure (Quantum ESPRESSO input):
```
&SYSTEM
  ibrav = 0, nat = 29, ntyp = 3
/
ATOMIC_SPECIES
Al 26.98 Al.upf
Ni 58.69 Ni.upf
B 10.81 B.upf
ATOMIC_POSITIONS angstrom
Al 0.0000 0.0000 0.0000
Al 2.5949 2.5949 2.5949
Al 7.7848 7.7848 7.7848
Ni 1.7560 1.7560 0.0000
Ni 3.4339 3.4339 0.0000
Ni 1.7560 0.0000 1.7560
Ni 5.1899 3.4339 1.7560
Ni 3.4339 0.0000 3.4339
Ni 5.1899 1.7560 3.4339
Ni 6.4100 3.9698 3.9698
Ni 0.0000 1.7560 1.7560
Ni 3.4339 5.1899 1.7560
Ni 3.4339 1.7560 5.1899
Ni 3.9698 3.9698 3.9698
Ni 6.4100 6.4100 3.9698
Ni 6.4100 3.9698 6.4100
Ni 3.9698 6.4100 3.9698
Ni 3.9698 3.9698 6.4100
Ni 6.4100 6.4100 6.4100
Ni 0.0000 3.4339 3.4339
Ni 1.7560 5.1899 3.4339
Ni 1.7560 3.4339 5.1899
Ni 3.9698 6.4100 6.4100
B 5.1899 5.1899 2.8433
B 5.1899 2.8433 5.1899
B 7.5365 5.1899 5.1899
B 2.8433 5.1899 5.1899
B 5.1899 7.5365 5.1899
B 5.1899 5.1899 7.5365
CELL_PARAMETERS angstrom
0.0000 5.1899 5.1899
5.1899 0.0000 5.1899
5.1899 5.1899 0.0000
```

Summary:
- Energy of formation: -1099.5 kJ/mol of formula units
- Calculated total energy: -10.873 eV/atom


(2)
## PuAl3 (r²SCAN)

Data for an optimized crystal structure of PuAl3. Values from VASP.

Structure (Quantum ESPRESSO input):
```
&SYSTEM
  ibrav = 0, nat = 12, ntyp = 2
/
ATOMIC_SPECIES
Pu 244.00 Pu.upf
Al 26.98 Al.upf
ATOMIC_POSITIONS angstrom
Pu 0.0000 0.0000 0.0000
Pu 0.0000 0.0000 4.6329
Pu 0.0000 0.0000 16.5525
Al -1.5371 -0.8875 7.0618
Al -1.3937 -0.8047 11.7811
Al 0.0000 -1.6094 9.4043
Al -1.3937 0.8047 9.4043
Al -1.5371 0.8875 14.1236
Al 0.0000 1.7749 7.0618
Al 1.3937 -0.8047 11.7811
Al 0.0000 1.6094 11.7811
Al 1.3937 0.8047 9.4043
CELL_PARAMETERS angstrom
3.0742 1.7749 7.0618
-3.0742 1.7749 7.0618
0.0000 -3.5498 7.0618
```

Summary:
- Energy of formation: -152.4 kJ/mol of formula units
- Calculated total energy: -27.033 eV/atom


(3)
## KMgCl3 (r²SCAN)

Data for an optimized crystal structure of KMgCl3. Values from VASP.

Structure (Quantum ESPRESSO input):
```
&SYSTEM
  ibrav = 0, nat = 20, ntyp = 3
/
ATOMIC_SPECIES
K 39.10 K.upf
Mg 24.30 Mg.upf
Cl 35.45 Cl.upf
ATOMIC_POSITIONS angstrom
K 0.2362 2.4790 0.0474
K 3.2631 7.4370 3.5253
K 3.7354 2.4790 3.4306
K 6.7623 7.4370 6.9085
Mg 0.0000 0.0000 3.4779
Mg 0.0000 4.9580 3.4779
Mg 3.4992 0.0000 0.0000
Mg 3.4992 4.9580 0.0000
Cl 0.0440 7.4370 3.1205
Cl 1.4912 5.2162 5.4769
Cl 1.4912 9.6578 5.4769
Cl 2.0080 0.2582 1.9990
Cl 2.0080 4.6998 1.9990
Cl 3.4553 2.4790 6.5984
Cl 3.5432 7.4370 0.3575
Cl 4.9905 5.2162 4.9569
Cl 4.9905 9.6578 4.9569
Cl 5.5072 0.2582 1.4789
Cl 5.5072 4.6998 1.4789
Cl 6.9545 2.4790 3.8354
CELL_PARAMETERS angstrom
6.9985 0.0000 0.0000
0.0000 9.9160 0.0000
0.0000 0.0000 6.9559
```

Summary:
- Energy of formation: -1029.5 kJ/mol of formula units
- Calculated total energy: -7.863 eV/atom


(4)
## SrAs3 (r²SCAN)

Data for an optimized crystal structure of SrAs3. Values from VASP.

Structure (Quantum ESPRESSO input):
```
&SYSTEM
  ibrav = 0, nat = 8, ntyp = 2
/
ATOMIC_SPECIES
Sr 87.62 Sr.upf
As 74.92 As.upf
ATOMIC_POSITIONS angstrom
Sr 0.8165 0.0000 1.8307
Sr 6.5614 0.0000 3.6358
As 3.0511 2.0585 1.0548
As 4.3267 2.0585 4.4116
As 3.0000 0.0000 4.3123
As 4.3778 0.0000 1.1542
As 3.0511 -2.0585 1.0548
As 4.3267 -2.0585 4.4116
CELL_PARAMETERS angstrom
4.8384 -3.8595 0.0000
4.8384 3.8595 0.0000
-2.2990 0.0000 5.4665
```

Summary:
- Energy of formation: -278.1 kJ/mol of formula units
- Calculated total energy: -15.538 eV/atom


(5)
## SmEuS2 (r²SCAN)

Data for an optimized crystal structure of SmEuS2. Values from VASP.

Structure (Quantum ESPRESSO input):
```
&SYSTEM
  ibrav = 0, nat = 4, ntyp = 3
/
ATOMIC_SPECIES
Sm 150.36 Sm.upf
Eu 151.96 Eu.upf
S 32.06 S.upf
ATOMIC_POSITIONS angstrom
Sm 0.0000 0.0000 0.0000
Eu 2.0321 2.0321 2.8682
S 0.0000 0.0000 2.8682
S 2.0321 2.0321 0.0000
CELL_PARAMETERS angstrom
4.0641 0.0000 0.0000
0.0000 4.0641 0.0000
0.0000 0.0000 5.7364
```

Summary:
- Energy of formation: -912.3 kJ/mol of formula units
- Calculated total energy: -23.444 eV/atom


(6)
## NpCo2Si2 (r²SCAN)

Data for an optimized crystal structure of NpCo2Si2. Values from VASP.

Structure (Quantum ESPRESSO input):
```
&SYSTEM
  ibrav = 0, nat = 5, ntyp = 3
/
ATOMIC_SPECIES
Np 237.00 Np.upf
Co 58.93 Co.upf
Si 28.09 Si.upf
ATOMIC_POSITIONS angstrom
Np 0.0000 0.0000 0.0000
Co 1.9257 0.0000 2.4503
Co 0.0000 1.9257 2.4503
Si 0.0000 0.0000 3.6350
Si 0.0000 0.0000 6.1660
CELL_PARAMETERS angstrom
-1.9257 1.9257 4.9005
1.9257 -1.9257 4.9005
1.9257 1.9257 -4.9005
```

Summary:
- Energy of formation: -296.4 kJ/mol of formula units
- Calculated total energy: -26.022 eV/atom


(7)
## La3InN (r²SCAN)

Data for an optimized crystal structure of La3InN. Values from VASP.

Structure (Quantum ESPRESSO input):
```
&SYSTEM
  ibrav = 0, nat = 5, ntyp = 3
/
ATOMIC_SPECIES
La 138.91 La.upf
In 114.82 In.upf
N 14.01 N.upf
ATOMIC_POSITIONS angstrom
La 0.0000 0.0000 2.5689
La 0.0000 2.5689 0.0000
La 2.5689 0.0000 0.0000
In 2.5689 2.5689 2.5689
N 0.0000 0.0000 0.0000
CELL_PARAMETERS angstrom
5.1378 0.0000 0.0000
0.0000 5.1378 0.0000
0.0000 0.0000 5.1378
```

Summary:
- Energy of formation: -510.7 kJ/mol of formula units
- Calculated total energy: -25.247 eV/atom


(8)
## Lu2MgTiO6 (r²SCAN)

Data for an optimized crystal structure of Lu2MgTiO6. Values from VASP.

Structure (Quantum ESPRESSO input):
```
&SYSTEM
  ibrav = 0, nat = 10, ntyp = 4
/
ATOMIC_SPECIES
Lu 174.97 Lu.upf
Mg 24.30 Mg.upf
Ti 47.87 Ti.upf
O 16.00 O.upf
ATOMIC_POSITIONS angstrom
Lu 1.8960 1.8960 1.8960
Lu 5.6880 5.6880 5.6880
Mg 0.0000 0.0000 0.0000
Ti 3.7920 3.7920 3.7920
O 3.7920 3.7920 1.9059
O 3.7920 1.9059 3.7920
O 5.6781 3.7920 3.7920
O 1.9059 3.7920 3.7920
O 3.7920 5.6781 3.7920
O 3.7920 3.7920 5.6781
CELL_PARAMETERS angstrom
0.0000 3.7920 3.7920
3.7920 0.0000 3.7920
3.7920 3.7920 0.0000
```

Summary:
- Energy of formation: -3063.3 kJ/mol of formula units
- Calculated total energy: -16.085 eV/atom


(9)
## MgSnAu (r²SCAN)

Data for an optimized crystal structure of MgSnAu. Values from VASP.

Structure (Quantum ESPRESSO input):
```
&SYSTEM
  ibrav = 0, nat = 3, ntyp = 3
/
ATOMIC_SPECIES
Mg 24.30 Mg.upf
Sn 118.71 Sn.upf
Au 196.97 Au.upf
ATOMIC_POSITIONS angstrom
Mg 0.0000 0.0000 0.0000
Sn 3.2193 3.2193 3.2193
Au 1.6097 1.6097 1.6097
CELL_PARAMETERS angstrom
0.0000 3.2193 3.2193
3.2193 0.0000 3.2193
3.2193 3.2193 0.0000
```

Summary:
- Energy of formation: -138.8 kJ/mol of formula units
- Calculated total energy: -26.980 eV/atom


(10)
## TbCdAu (r²SCAN)

Data for an optimized crystal structure of TbCdAu. Values from VASP.

Structure (Quantum ESPRESSO input):
```
&SYSTEM
  ibrav = 0, nat = 9, ntyp = 3
/
ATOMIC_SPECIES
Tb 158.93 Tb.upf
Cd 112.41 Cd.upf
Au 196.97 Au.upf
ATOMIC_POSITIONS angstrom
Tb -2.2877 3.9625 0.0000
Tb 1.5621 2.7056 0.0000
Tb 4.5755 0.0000 0.0000
Cd -0.9947 1.7228 1.9867
Cd 1.9893 0.0000 1.9867
Cd 2.8551 4.9452 1.9867
Au 0.0000 0.0000 0.0000
Au 0.0000 4.4454 1.9867
Au 3.8498 2.2227 1.9867
CELL_PARAMETERS angstrom
7.6996 0.0000 0.0000
-3.8498 6.6681 0.0000
0.0000 0.0000 3.9734
```

Summary:
- Energy of formation: -215.8 kJ/mol of formula units
- Calculated total energy: -34.718 eV/atom


(11)
## NdZn (r²SCAN)

Data for an optimized crystal structure of NdZn. Values from VASP.

Structure (Quantum ESPRESSO input):
```
&SYSTEM
  ibrav = 0, nat = 2, ntyp = 2
/
ATOMIC_SPECIES
Nd 144.24 Nd.upf
Zn 65.41 Zn.upf
ATOMIC_POSITIONS angstrom
Nd 0.0000 0.0000 0.0000
Zn 1.8354 1.8354 1.8354
CELL_PARAMETERS angstrom
3.6708 0.0000 0.0000
0.0000 3.6708 0.0000
0.0000 0.0000 3.6708
```

Summary:
- Energy of formation: -62.8 kJ/mol of formula units
- Calculated total energy: -19.490 eV/atom


(12)
## Ca3Ga3Rh2 (r²SCAN)

Data for an optimized crystal structure of Ca3Ga3Rh2. Values from VASP.

Structure (Quantum ESPRESSO input):
```
&SYSTEM
  ibrav = 0, nat = 32, ntyp = 3
/
ATOMIC_SPECIES
Ca 40.08 Ca.upf
Ga 69.72 Ga.upf
Rh 102.91 Rh.upf
ATOMIC_POSITIONS angstrom
Ca 0.3769 1.6095 0.6732
Ca 0.3769 5.7923 0.6732
Ca 1.5970 3.7009 3.6005
Ca 2.4411 11.1026 0.6847
Ca 3.6612 9.0113 3.5889
Ca 3.6612 13.1940 3.5889
Ca 4.4150 1.6095 2.2426
Ca 4.4150 5.7923 2.2426
Ca 5.6351 3.7009 5.1467
Ca 6.4792 11.1026 2.2310
Ca 7.6993 9.0113 5.1583
Ca 7.6993 13.1940 5.1583
Ga 1.1870 11.1026 3.3687
Ga 1.4471 0.5989 3.6569
Ga 1.4471 6.8028 3.6569
Ga 2.5910 8.0007 0.7412
Ga 2.5910 14.2046 0.7412
Ga 2.8512 3.7009 0.4530
Ga 5.2251 11.1026 5.3785
Ga 5.4852 0.5989 5.0902
Ga 5.4852 6.8028 5.0902
Ga 6.6291 8.0007 2.1745
Ga 6.6291 14.2046 2.1745
Ga 6.8893 3.7009 2.4628
Rh 0.8825 8.8196 2.3179
Rh 0.8825 13.3857 2.3179
Rh 3.1556 1.4178 5.2336
Rh 3.1556 5.9839 5.2336
Rh 4.9207 8.8196 0.5978
Rh 4.9207 13.3857 0.5978
Rh 7.1937 1.4178 3.5135
Rh 7.1937 5.9839 3.5135
CELL_PARAMETERS angstrom
8.0762 0.0000 0.0000
0.0000 14.8035 0.0000
0.0000 0.0000 5.8314
```

Summary:
- Energy of formation: -535.5 kJ/mol of formula units
- Calculated total energy: -13.658 eV/atom


(13)
## FeOF (r²SCAN)

Data for an optimized crystal structure of FeOF. Values from VASP.

Structure (Quantum ESPRESSO input):
```
&SYSTEM
  ibrav = 0, nat = 6, ntyp = 3
/
ATOMIC_SPECIES
Fe 55.84 Fe.upf
O 16.00 O.upf
F 19.00 F.upf
ATOMIC_POSITIONS angstrom
Fe 0.0000 0.9959 0.0000
Fe 1.5348 3.6757 2.3379
O 0.0000 4.3943 3.2241
O 1.5348 0.2772 0.8862
F 0.0000 2.5921 1.3493
F 1.5348 2.0795 3.6872
CELL_PARAMETERS angstrom
3.0696 0.0000 0.0000
0.0000 4.6716 0.0000
0.0000 0.0000 4.6758
```

Summary:
- Energy of formation: -573.7 kJ/mol of formula units
- Calculated total energy: -9.819 eV/atom


(14)
## Yb3Cu11Si4 (r²SCAN)

Data for an optimized crystal structure of Yb3Cu11Si4. Values from VASP.

Structure (Quantum ESPRESSO input):
```
&SYSTEM
  ibrav = 0, nat = 36, ntyp = 3
/
ATOMIC_SPECIES
Yb 173.04 Yb.upf
Cu 63.55 Cu.upf
Si 28.09 Si.upf
ATOMIC_POSITIONS angstrom
Yb 0.0000 2.8575 2.1163
Yb -1.6710 5.7518 2.1163
Yb 2.4747 1.4287 6.3488
Yb 1.6710 5.7518 2.1163
Yb 5.8167 1.4287 6.3488
Yb 4.1457 4.3230 6.3488
Cu -1.2527 4.0638 6.3488
Cu 0.0000 2.1477 5.0036
Cu 0.0000 2.1477 7.6941
Cu -2.2857 6.1067 5.0036
Cu -2.2857 6.1067 7.6941
Cu 1.8600 1.0739 0.7710
Cu 1.8600 1.0739 3.4616
Cu 0.0000 4.7870 4.2930
Cu 0.0000 4.7870 8.4046
Cu 1.2526 4.0638 6.3488
Cu 0.0000 6.2335 6.3488
Cu 4.1457 0.9471 2.1163
Cu 2.8930 3.1167 2.1163
Cu 4.1457 2.3935 0.0605
Cu 4.1457 2.3935 4.1721
Cu 2.2857 6.1067 5.0036
Cu 2.2857 6.1067 7.6941
Cu 6.4314 1.0739 0.7710
Cu 6.4314 1.0739 3.4616
Cu 4.1457 5.0328 0.7710
Cu 4.1457 5.0328 3.4616
Cu 5.3983 3.1167 2.1163
Si 0.0000 0.0000 2.1163
Si 0.0000 0.0000 6.3488
Si -2.0728 3.5903 0.0000
Si -2.0728 3.5903 4.2326
Si 4.1457 0.0000 0.0000
Si 4.1457 0.0000 4.2326
Si 2.0728 3.5903 0.0000
Si 2.0728 3.5903 4.2326
CELL_PARAMETERS angstrom
8.2914 0.0000 0.0000
-4.1457 7.1805 0.0000
0.0000 0.0000 8.4651
```

Summary:
- Energy of formation: -630.3 kJ/mol of formula units
- Calculated total energy: -15.029 eV/atom


(15)
## LiMn2OF5 (r²SCAN)

Data for an optimized crystal structure of LiMn2OF5. Values from VASP.

Structure (Quantum ESPRESSO input):
```
&SYSTEM
  ibrav = 0, nat = 36, ntyp = 4
/
ATOMIC_SPECIES
Li 6.94 Li.upf
Mn 54.94 Mn.upf
O 16.00 O.upf
F 19.00 F.upf
ATOMIC_POSITIONS angstrom
Li 2.2709 1.0628 0.0000
Li 6.2497 1.0628 2.4518
Li 10.7916 3.4891 0.0000
Li 14.7704 3.4891 2.4518
Mn 0.4912 0.9985 2.3881
Mn 3.3124 3.3451 2.4323
Mn 5.2083 3.3451 4.8841
Mn 8.0295 0.9985 4.8399
Mn 9.0118 3.5534 2.3881
Mn 11.8330 1.2068 2.4323
Mn 13.7289 1.2068 4.8841
Mn 16.5501 3.5534 4.8399
O 0.6790 0.0042 0.8565
O 7.8416 0.0042 3.3083
O 9.1997 4.5477 0.8565
O 16.3623 4.5477 3.3083
F 0.7016 2.2419 3.9346
F 1.9744 2.0820 1.6121
F 2.0279 0.0691 3.2365
F 3.5800 4.4037 0.8388
F 3.5975 2.3195 4.0535
F 4.9232 2.3195 1.6017
F 4.9407 4.4037 3.2906
F 6.4928 0.0691 0.7847
F 6.5462 2.0820 4.0640
F 7.8191 2.2419 1.4828
F 9.2222 2.3100 3.9346
F 10.4951 2.4699 1.6121
F 10.5485 4.4828 3.2365
F 12.1006 0.1481 0.8388
F 12.1181 2.2324 4.0535
F 13.4438 2.2324 1.6017
F 13.4613 0.1481 3.2906
F 15.0134 4.4828 0.7847
F 15.0669 2.4699 4.0640
F 16.3397 2.3100 1.4828
CELL_PARAMETERS angstrom
17.0413 0.0000 0.0000
0.0000 4.5519 0.0000
0.0000 0.0000 4.9036
```

Summary:
- Energy of formation: -2388.0 kJ/mol of formula units
- Calculated total energy: -8.678 eV/atom


(16)
## YAl2Pd5 (r²SCAN)

Data for an optimized crystal structure of YAl2Pd5. Values from VASP.

Structure (Quantum ESPRESSO input):
```
&SYSTEM
  ibrav = 0, nat = 8, ntyp = 3
/
ATOMIC_SPECIES
Y 88.91 Y.upf
Al 26.98 Al.upf
Pd 106.42 Pd.upf
ATOMIC_POSITIONS angstrom
Y 0.0000 0.0000 0.0000
Al 0.0000 0.0000 3.7719
Al 0.0000 0.0000 11.1183
Pd 2.0554 0.0000 2.1565
Pd 2.0554 0.0000 5.2886
Pd 0.0000 0.0000 7.4451
Pd 0.0000 2.0554 2.1565
Pd 0.0000 2.0554 5.2886
CELL_PARAMETERS angstrom
-2.0554 2.0554 7.4451
2.0554 -2.0554 7.4451
2.0554 2.0554 -7.4451
```

Summary:
- Energy of formation: -742.3 kJ/mol of formula units
- Calculated total energy: -19.534 eV/atom


(17)
## B6P (r²SCAN)

Data for an optimized crystal structure of B6P. Values from VASP.

Structure (Quantum ESPRESSO input):
```
&SYSTEM
  ibrav = 0, nat = 14, ntyp = 2
/
ATOMIC_SPECIES
B 10.81 B.upf
P 30.97 P.upf
ATOMIC_POSITIONS angstrom
B -0.9380 -0.5415 4.5253
B -1.3953 -0.8056 6.2506
B 0.0000 -1.6112 5.5771
B -1.3953 0.8056 5.5771
B 0.9380 -0.5416 4.5253
B 0.0000 1.0831 4.5253
B 0.0000 -1.0831 7.3024
B -0.9380 0.5415 7.3024
B 1.3953 -0.8056 6.2506
B 0.0000 1.6112 6.2506
B 1.3953 0.8056 5.5771
B 0.9380 0.5416 7.3024
P 0.0000 0.0000 1.1206
P 0.0000 0.0000 10.7070
CELL_PARAMETERS angstrom
2.9897 1.7261 3.9426
-2.9897 1.7261 3.9426
0.0000 -3.4522 3.9426
```

Summary:
- Energy of formation: -220.3 kJ/mol of formula units
- Calculated total energy: -7.909 eV/atom


(18)
## ScCu (r²SCAN)

Data for an optimized crystal structure of ScCu. Values from VASP.

Structure (Quantum ESPRESSO input):
```
&SYSTEM
  ibrav = 0, nat = 2, ntyp = 2
/
ATOMIC_SPECIES
Sc 44.96 Sc.upf
Cu 63.55 Cu.upf
ATOMIC_POSITIONS angstrom
Sc 0.0000 0.0000 0.0000
Cu 1.6204 1.6204 1.6204
CELL_PARAMETERS angstrom
3.2409 0.0000 0.0000
0.0000 3.2409 0.0000
0.0000 0.0000 3.2409
```

Summary:
- Energy of formation: -49.5 kJ/mol of formula units
- Calculated total energy: -11.379 eV/atom


(19)
## PmY (r²SCAN)

Data for an optimized crystal structure of PmY. Values from VASP.

Structure (Quantum ESPRESSO input):
```
&SYSTEM
  ibrav = 0, nat = 2, ntyp = 2
/
ATOMIC_SPECIES
Pm 145.00 Pm.upf
Y 88.91 Y.upf
ATOMIC_POSITIONS angstrom
Pm 0.0000 0.0000 0.0000
Y 1.8437 1.0645 2.9657
CELL_PARAMETERS angstrom
3.6874 0.0000 0.0000
-1.8437 3.1934 0.0000
0.0000 0.0000 5.9313
```

Summary:
- Energy of formation: 4.3 kJ/mol of formula units
- Calculated total energy: -24.905 eV/atom